(1)
Y2MnNiO6 (PBE+U, optimized geometry); MP2020-corrected energy = -8.588 eV/atom; symmetry = P2_1/c; total moment = 10.00 Bohr magnetons per cell
1.0
-2.6593 1.5721 4.2818
-4.7203 0.2024 -3.0060
-1.4606 -7.2143 1.8080
Y Mn Ni O
4 2 2 12
direct
0.4809 0.4293 0.7487
0.0191 0.9293 0.7513
0.5191 0.5707 0.2513
0.9809 0.0707 0.2487
0.5000 0.0000 0.0000
0.0000 0.5000 0.5000
0.5000 0.0000 0.5000
0.0000 0.5000 0.0000
0.2020 0.1881 0.9475
0.2980 0.6881 0.5525
0.7980 0.8119 0.0525
0.7020 0.3119 0.4475
0.1835 0.2073 0.5575
0.3165 0.7073 0.9425
0.8165 0.7927 0.4425
0.6835 0.2927 0.0575
0.1081 0.4628 0.2576
0.3919 0.9628 0.2424
0.8919 0.5372 0.7424
0.6081 0.0372 0.7576



(2)
Y4Mn3NiO12 (PBE+U, optimized geometry); MP2020-corrected energy = -8.844 eV/atom; symmetry = P-1; total moment = 13.03 Bohr magnetons per cell
1.0
-2.1577 -0.5670 -4.8116
3.9502 -3.9130 -1.2298
-4.5605 -5.4676 2.7639
Y Mn Ni O
4 3 1 12
direct
0.4817 0.4267 0.2481
0.0203 0.9212 0.2456
0.5183 0.5733 0.7519
0.9797 0.0788 0.7544
0.5000 0.0000 0.5000
0.0000 0.5000 0.5000
0.5000 0.0000 0.0000
0.0000 0.5000 0.0000
0.2010 0.1849 0.0535
0.3056 0.6855 0.4446
0.7969 0.8223 0.5591
0.6796 0.2952 0.9427
0.7990 0.8151 0.9465
0.6944 0.3145 0.5554
0.2031 0.1777 0.4409
0.3204 0.7048 0.0573
0.6148 0.0397 0.2413
0.8919 0.5351 0.2552
0.3852 0.9603 0.7587
0.1081 0.4649 0.7448